Run w
This record from the Materials Project describes Li4Mn3OF8 after structural relaxation. The functional is PBE+U.

Summary:
For the total magnetic moment, the calculation gives 60.0 Bohr magnetons per cell. The space group is Pmn2_1.

Cell: 24.5201 5.7147 5.2494 Å, 90.00 90.00 90.00°
Closest atoms and distances in Å follow each position.
Positions (direct):
1 Li 0.0631 0.0983 0.0394  3 F 1.87-2.01, 1 O 2.04
2 Li 0.0694 0.5598 0.5000  2 F 1.91-1.93, 1 O 1.96
3 Li 0.2186 0.9860 0.9451  4 F 1.85-2.02
4 Li 0.2202 0.4924 0.5709  4 F 1.88-2.04
5 Li 0.2798 0.5077 0.0709  4 F 1.88-2.04
6 Li 0.2814 0.0140 0.4451  4 F 1.85-2.02
7 Li 0.4306 0.4402 0.0000  2 F 1.91-1.93, 1 O 1.96
8 Li 0.4369 0.9017 0.5394  3 F 1.87-2.01, 1 O 2.04
9 Li 0.5631 0.9017 0.5394  3 F 1.87-2.01, 1 O 2.04
10 Li 0.5694 0.4402 0.0000  2 F 1.91-1.93, 1 O 1.96
11 Li 0.7186 0.0140 0.4451  4 F 1.85-2.02
12 Li 0.7202 0.5077 0.0709  4 F 1.88-2.04
13 Li 0.7798 0.4924 0.5709  4 F 1.88-2.04
14 Li 0.7814 0.9860 0.9451  4 F 1.85-2.02
15 Li 0.9306 0.5598 0.5000  2 F 1.91-1.93, 1 O 1.96
16 Li 0.9369 0.0983 0.0394  3 F 1.87-2.01, 1 O 2.04
17 Mn 0.0000 0.1850 0.6069  4 F 2.20-2.45, 2 O 2.22
18 Mn 0.0000 0.6201 0.9694  2 O 2.09, 1 F 2.15
19 Mn 0.1352 0.4826 0.0017  1 O 2.12, 5 F 2.14-2.21
20 Mn 0.1412 0.9902 0.5072  5 F 2.08-2.14
21 Mn 0.3588 0.0098 0.0072  5 F 2.08-2.14
22 Mn 0.3648 0.5174 0.5017  1 O 2.12, 5 F 2.14-2.21
23 Mn 0.5000 0.3799 0.4694  2 O 2.09, 1 F 2.15
24 Mn 0.5000 0.8150 0.1069  4 F 2.20-2.45, 2 O 2.22
25 Mn 0.6352 0.5174 0.5017  1 O 2.12, 5 F 2.14-2.21
26 Mn 0.6412 0.0098 0.0072  5 F 2.08-2.14
27 Mn 0.8588 0.9902 0.5072  5 F 2.08-2.14
28 Mn 0.8648 0.4826 0.0017  1 O 2.12, 5 F 2.14-2.21
29 O 0.0600 0.3963 0.8250  2 Li 1.96-2.04, 2 Mn 2.09-2.12
30 O 0.4400 0.6037 0.3250  2 Li 1.96-2.04, 2 Mn 2.09-2.12
31 O 0.5600 0.6037 0.3250  2 Li 1.96-2.04, 2 Mn 2.09-2.12
32 O 0.9400 0.3963 0.8250  2 Li 1.96-2.04, 2 Mn 2.09-2.12
33 F 0.0000 0.4916 0.3548  2 Li 1.91
34 F 0.0000 0.9836 0.1945  2 Li 1.87
35 F 0.0598 0.9075 0.7181  1 Li 2.01, 1 Mn 2.24
36 F 0.1022 0.2573 0.3077  2 Li 1.93-2.16, 1 Mn 2.08
37 F 0.1040 0.7533 0.2468  1 Li 1.93, 2 Mn 2.13-2.15
38 F 0.1771 0.7348 0.7553  2 Li 1.99-2.02, 2 Mn 2.14-2.19
39 F 0.1798 0.2327 0.7611  2 Li 1.96-2.04, 1 Mn 2.14
40 F 0.2095 0.4870 0.2149  2 Li 1.88-1.89
41 F 0.2130 0.9890 0.2963  2 Li 1.85-1.86
42 F 0.2870 0.0110 0.7963  2 Li 1.85-1.86
43 F 0.2905 0.5130 0.7149  2 Li 1.88-1.89
44 F 0.3202 0.7673 0.2611  2 Li 1.96-2.04, 1 Mn 2.14
45 F 0.3229 0.2652 0.2553  2 Li 1.99-2.02, 2 Mn 2.14-2.19
46 F 0.3960 0.2467 0.7468  1 Li 1.93, 2 Mn 2.13-2.15
47 F 0.3978 0.7427 0.8077  2 Li 1.93-2.16, 1 Mn 2.08
48 F 0.4402 0.0925 0.2181  1 Li 2.01, 1 Mn 2.24
49 F 0.5000 0.0164 0.6945  2 Li 1.87
50 F 0.5000 0.5084 0.8548  2 Li 1.91
51 F 0.5598 0.0925 0.2181  1 Li 2.01, 1 Mn 2.24
52 F 0.6022 0.7427 0.8077  2 Li 1.93-2.16, 1 Mn 2.08
53 F 0.6040 0.2467 0.7468  1 Li 1.93, 2 Mn 2.13-2.15
54 F 0.6771 0.2652 0.2553  2 Li 1.99-2.02, 2 Mn 2.14-2.19
55 F 0.6798 0.7673 0.2611  2 Li 1.96-2.04, 1 Mn 2.14
56 F 0.7095 0.5130 0.7149  2 Li 1.88-1.89
57 F 0.7130 0.0110 0.7963  2 Li 1.85-1.86
58 F 0.7870 0.9890 0.2963  2 Li 1.85-1.86
59 F 0.7905 0.4870 0.2149  2 Li 1.88-1.89
60 F 0.8202 0.2327 0.7611  2 Li 1.96-2.04, 1 Mn 2.14
61 F 0.8229 0.7348 0.7553  2 Li 1.99-2.02, 2 Mn 2.14-2.19
62 F 0.8960 0.7533 0.2468  1 Li 1.93, 2 Mn 2.13-2.15
63 F 0.8978 0.2573 0.3077  2 Li 1.93-2.16, 1 Mn 2.08
64 F 0.9402 0.9075 0.7181  1 Li 2.01, 1 Mn 2.24

Run x
This record from the Materials Project describes Li4Mn3OF8 after structural relaxation. The functional is PBE+U.

Summary:
For the total magnetic moment, the calculation gives 15.0 Bohr magnetons per cell. The space group is Cm.

Cell: 5.1726 5.1726 11.6680 Å, 101.63 101.63 33.65°
Closest atoms and distances in Å follow each position.
Positions (direct):
1 Li 0.0000 0.0000 0.0000  4 F 1.95-2.03
2 Li 0.0931 0.0931 0.3182  6 F 1.98-2.19
3 Li 0.7212 0.7212 0.8955  6 F 1.99-2.19
4 Li 0.8616 0.8616 0.4414  5 F 2.03-2.16, 1 O 2.08
5 Mn 0.3045 0.3045 0.1566  6 F 2.15-2.26
6 Mn 0.4323 0.4323 0.7264  2 O 2.18, 4 F 2.22-2.26
7 Mn 0.6138 0.6138 0.5638  2 O 2.09, 4 F 2.21-2.24
8 O 0.9863 0.9863 0.6084  1 Li 2.08, 4 Mn 2.09-2.18
9 F 0.0579 0.0579 0.8499  3 Li 1.95-2.19
10 F 0.2302 0.2302 0.4840  3 Li 2.11-2.12, 2 Mn 2.21
11 F 0.3608 0.3608 0.9565  4 Li 2.03-2.06
12 F 0.4874 0.4874 0.3807  4 Li 2.05-2.16, 1 Mn 2.24
13 F 0.6696 0.6696 0.0517  1 Li 1.99, 2 Mn 2.20
14 F 0.7375 0.7375 0.2786  3 Li 2.03-2.19, 2 Mn 2.26
15 F 0.7682 0.7682 0.7338  1 Li 2.04, 3 Mn 2.22-2.24
16 F 0.9624 0.9624 0.1639  2 Li 1.98-2.02, 2 Mn 2.15

Stability order, top to bottom: run x, run w

Run w
This record from the Materials Project describes Li2Mn3O6 after structural relaxation. The functional is PBE+U.

Summary:
For the total magnetic moment, the calculation gives 22.0 Bohr magnetons per cell. The space group is Cc.

Cell: 5.2147 5.2147 10.8327 Å, 108.84 108.84 57.57°
Closest atoms and distances in Å follow each position.
Positions (direct):
1 Li 0.0711 0.9289 0.5000  4 O 2.05-2.23
2 Li 0.5826 0.7557 0.9984  5 O 2.07-2.24
3 Li 0.7557 0.5826 0.4984  5 O 2.07-2.24
4 Li 0.9289 0.0711 0.0000  4 O 2.05-2.23
5 Mn 0.0151 0.8630 0.2342  4 O 1.91-2.07
6 Mn 0.1975 0.3514 0.7508  4 O 1.95-2.01
7 Mn 0.3514 0.1975 0.2508  4 O 1.95-2.01
8 Mn 0.5270 0.6799 0.7371  6 O 1.91-1.99
9 Mn 0.6799 0.5270 0.2371  6 O 1.91-1.99
10 Mn 0.8630 0.0151 0.7342  4 O 1.91-2.07
11 O 0.0132 0.2510 0.3498  2 Mn 1.91-2.00, 1 Li 2.12
12 O 0.1447 0.6706 0.6278  2 Mn 1.91-1.98, 1 Li 2.05
13 O 0.2510 0.0132 0.8498  2 Mn 1.91-2.00, 1 Li 2.12
14 O 0.3316 0.8300 0.1325  3 Mn 1.96-2.17, 2 Li 2.07-2.11
15 O 0.3910 0.5797 0.3375  3 Mn 1.96-2.00, 1 Li 2.13
16 O 0.4754 0.9633 0.6407  3 Mn 1.93-2.07
17 O 0.5798 0.3910 0.8375  3 Mn 1.96-2.00, 1 Li 2.13
18 O 0.6706 0.1447 0.1278  2 Mn 1.91-1.98, 1 Li 2.05
19 O 0.7136 0.8902 0.3486  2 Mn 1.95, 1 Li 2.10
20 O 0.8300 0.3316 0.6325  3 Mn 1.96-2.17, 2 Li 2.07-2.11
21 O 0.8902 0.7136 0.8486  2 Mn 1.95, 1 Li 2.10
22 O 0.9633 0.4754 0.1407  3 Mn 1.93-2.07

Run x
This record from the Materials Project describes Li2Mn3O6 after structural relaxation. The functional is PBE+U.

Summary:
For the total magnetic moment, the calculation gives 0.0 Bohr magnetons per cell.

Cell: 5.3927 6.5587 6.5587 Å, 82.05 96.06 96.06°
Closest atoms and distances in Å follow each position.
Positions (direct):
1 Li 0.2500 0.7557 0.7443  6 O 2.15-2.22
2 O 0.1578 0.7349 0.0683  3 Mn 1.96-1.99
3 O 0.5958 0.5525 0.2217  2 Mn 1.92-1.94, 1 Li 2.15
4 O 0.5958 0.8884 0.8859  2 Mn 1.92-1.94, 1 Li 2.15
5 Mn 0.0000 0.3334 0.6666  6 O 1.94-1.96
6 O 0.3422 0.4318 0.7651  3 Mn 1.96-1.99
7 Li 0.2500 0.4110 0.0890  6 O 2.15-2.22
8 O 0.8422 0.9317 0.2651  3 Mn 1.96-1.99
9 O 0.0958 0.3884 0.3859  2 Mn 1.92-1.94, 1 Li 2.15
10 Mn 0.5000 0.8333 0.1667  6 O 1.94-1.96
11 O 0.6578 0.2349 0.5682  3 Mn 1.96-1.99
12 O 0.4042 0.7783 0.4475  2 Mn 1.92-1.94, 1 Li 2.15
13 Mn 0.0000 0.6664 0.3336  4 O 1.92-1.99
14 Mn 0.5000 0.1663 0.8337  4 O 1.92-1.99
15 Mn 0.0000 0.0003 0.9997  4 O 1.92-1.99
16 O 0.4042 0.1141 0.1116  2 Mn 1.92-1.94, 1 Li 2.15
17 Li 0.7500 0.2557 0.2443  6 O 2.15-2.22
18 Mn 0.5000 0.5003 0.4997  4 O 1.92-1.99
19 O 0.9042 0.6141 0.6116  2 Mn 1.92-1.94, 1 Li 2.15
20 O 0.0958 0.0526 0.7217  2 Mn 1.92-1.94, 1 Li 2.15
21 O 0.9042 0.2783 0.9474  2 Mn 1.92-1.94, 1 Li 2.15
22 Li 0.7500 0.9110 0.5890  6 O 2.15-2.22

Stability order, top to bottom: run x, run w

Run w
This record from the Materials Project describes LiTiFe5O8 after structural relaxation. The functional is PBE+U.

Summary:
For the total magnetic moment, the calculation gives 21.0 Bohr magnetons per cell. The space group is P1.

Cell: 6.1626 6.1946 6.2261 Å, 119.78 119.59 90.05°
Closest atoms and distances in Å follow each position.
Positions (direct):
1 Li 0.0000 0.0000 0.0000  4 O 1.79-1.95
2 Ti 0.1724 0.8896 0.3549  3 O 1.87-1.91
3 Fe 0.1321 0.3870 0.7975  5 O 2.05-2.23
4 Fe 0.1715 0.4340 0.3521  5 O 2.06-2.28, 1 Li 2.24
5 Fe 0.5302 0.0001 0.0663  4 O 1.94-1.99
6 Fe 0.6575 0.3866 0.7970  5 O 2.05-2.23
7 Fe 0.7448 0.7366 0.5003  3 O 1.96-2.12
8 O 0.3619 0.6550 0.2922  1 Ti 1.88, 2 Fe 1.96-2.08
9 O 0.3748 0.1211 0.2982  1 Li 1.93, 1 Fe 1.96
10 O 0.3881 0.1087 0.7844  1 Ti 1.91, 1 Fe 1.99
11 O 0.4019 0.6189 0.8111  4 Fe 1.94-2.14
12 O 0.9049 0.1665 0.8177  1 Li 1.79
13 O 0.9106 0.6528 0.8288  1 Li 1.79
14 O 0.9175 0.1208 0.2976  1 Li 1.95, 1 Fe 1.97, 1 Ti 2.15
15 O 0.9209 0.6552 0.2929  1 Ti 1.87, 2 Fe 1.96-2.08

Run x
This record from the Materials Project describes LiTiFe5O8 after structural relaxation. The functional is PBE+U.

Summary:
For the total magnetic moment, the calculation gives 21.0 Bohr magnetons per cell. The space group is P-1.

Cell: 5.9477 5.9724 6.3154 Å, 117.91 90.35 119.24°
Closest atoms and distances in Å follow each position.
Positions (direct):
1 Li 0.0000 0.0000 0.0000  6 O 2.28-2.37, 2 Fe 2.41
2 Ti 0.5000 0.0000 0.5000  6 O 2.03-2.05
3 Fe 0.0000 0.5000 0.0000  2 O 2.00
4 Fe 0.1392 0.2998 0.4530  4 O 1.90-2.04
5 Fe 0.5000 0.0000 0.0000  4 O 2.00-2.23
6 Fe 0.5000 0.5000 0.0000  2 O 1.99
7 Fe 0.8608 0.7002 0.5470  4 O 1.90-2.04
8 O 0.2545 0.9931 0.7257  1 Fe 1.98, 1 Ti 2.05
9 O 0.2609 0.0120 0.2768  3 Fe 2.04-2.27, 1 Ti 2.05
10 O 0.2678 0.5373 0.2840  3 Fe 2.03-2.27, 1 Ti 2.03
11 O 0.2712 0.5445 0.8109  4 Fe 1.90-2.00
12 O 0.7288 0.4555 0.1891  4 Fe 1.90-2.00
13 O 0.7322 0.4627 0.7160  3 Fe 2.03-2.27, 1 Ti 2.03
14 O 0.7391 0.9880 0.7232  3 Fe 2.04-2.27, 1 Ti 2.05
15 O 0.7455 0.0069 0.2743  1 Fe 1.98, 1 Ti 2.05

Stability order, top to bottom: run w, run x

Run w
This record from the Materials Project describes MgCo2Mo2O8 after structural relaxation. The functional is PBE+U.

Summary:
For the total magnetic moment, the calculation gives 8.0 Bohr magnetons per cell. The space group is P1.

Cell: 5.2567 5.6431 5.8014 Å, 86.50 72.40 86.22°
Closest atoms and distances in Å follow each position.
Positions (direct):
1 Mg 0.0000 0.0000 0.0000  5 O 1.97-2.09
2 Co 0.8724 0.9981 0.5317  5 O 1.98-2.13
3 Co 0.9372 0.4974 0.7646  6 O 2.06-2.16
4 Mo 0.4362 0.7209 0.4133  3 O 1.82-2.03
5 Mo 0.4371 0.2729 0.1210  2 O 1.81-1.98
6 O 0.1306 0.8104 0.7084  1 Mg 1.97, 1 Mo 2.03, 2 Co 2.06-2.13
7 O 0.1838 0.3208 0.9666  1 Mo 1.81
8 O 0.2164 0.9414 0.2387  1 Mg 2.04, 2 Mo 2.07-2.23, 1 Co 2.10
9 O 0.2445 0.4246 0.4442  2 Mo 1.98-2.05, 1 Co 2.10
10 O 0.6306 0.5680 0.0883  2 Mo 1.98-2.06, 1 Co 2.11
11 O 0.6580 0.0487 0.2943  1 Co 2.02, 2 Mo 2.08-2.21, 1 Mg 2.09
12 O 0.6941 0.6697 0.5633  1 Mo 1.82
13 O 0.7489 0.1808 0.8288  2 Co 1.98-2.06, 1 Mo 2.04, 1 Mg 2.06

Run x
This record from the Materials Project describes MgCo2Mo2O8 after structural relaxation. The functional is PBE+U.

Summary:
For the total magnetic moment, the calculation gives 8.1 Bohr magnetons per cell. The space group is P2.

Cell: 4.9245 5.9555 5.1279 Å, 90.00 92.60 90.00°
Closest atoms and distances in Å follow each position.
Positions (direct):
1 Mg 0.0000 0.0000 0.0000  6 O 2.00-2.12
2 Co 0.5000 0.2540 0.5000  6 O 2.10-2.31
3 Co 0.5000 0.9580 0.0000  6 O 2.03-2.21
4 Mo 0.0000 0.4650 0.0000  6 O 1.95-2.14
5 Mo 0.0000 0.7657 0.5000  6 O 1.94-2.08
6 O 0.2071 0.5035 0.6886  2 Mo 1.95-2.08
7 O 0.2165 0.7421 0.1739  2 Mo 2.03-2.14, 1 Mg 2.05, 1 Co 2.12
8 O 0.2489 0.9747 0.6750  1 Mo 1.94, 1 Co 2.03, 1 Mg 2.12
9 O 0.2528 0.2326 0.1554  1 Mo 2.00, 1 Mg 2.00, 2 Co 2.10-2.21
10 O 0.7472 0.2326 0.8446  1 Mo 2.00, 1 Mg 2.00, 2 Co 2.10-2.21
11 O 0.7511 0.9747 0.3250  1 Mo 1.94, 1 Co 2.03, 1 Mg 2.12
12 O 0.7835 0.7421 0.8261  2 Mo 2.03-2.14, 1 Mg 2.05, 1 Co 2.12
13 O 0.7929 0.5035 0.3114  2 Mo 1.95-2.08

Stability order, top to bottom: run w, run x